First-principles (GGA-PBE) data for crystalline Be3Si3Sn2O12 at its relaxed geometry, as listed in the Materials Project database.

Unit cell a=8.2953 b=8.0916 c=16.3035 alpha=90.00 beta=119.67 gamma=90.00
With the nearest neighbours (Å) after each atom.
Fractional positions:
Be  0.0283  0.1545  0.4098  2 O 1.54-1.60
Be  0.0283  0.3455  0.9098  2 O 1.54-1.60
Be  0.3136  0.1502  0.2403  3 O 1.54-1.69
Be  0.3136  0.3498  0.7403  3 O 1.54-1.69
Be  0.3361  0.6598  0.4066  4 O 1.55-1.71
Be  0.3361  0.8402  0.9066  4 O 1.55-1.71
Be  0.6639  0.1598  0.0934  4 O 1.55-1.71
Be  0.6639  0.3402  0.5934  4 O 1.55-1.71
Be  0.6864  0.6502  0.2597  3 O 1.54-1.69
Be  0.6864  0.8498  0.7597  3 O 1.54-1.69
Be  0.9717  0.6545  0.0902  2 O 1.54-1.60
Be  0.9717  0.8455  0.5902  2 O 1.54-1.60
Si  0.0232  0.7376  0.9199  4 O 1.58-1.72
Si  0.0232  0.7624  0.4199  4 O 1.58-1.72
Si  0.3107  0.7280  0.7407  4 O 1.60-1.69
Si  0.3107  0.7720  0.2407  4 O 1.60-1.69
Si  0.3290  0.2064  0.8973  4 O 1.58-1.69
Si  0.3290  0.2936  0.3973  4 O 1.58-1.69
Si  0.6710  0.7064  0.6027  4 O 1.58-1.69
Si  0.6710  0.7936  0.1027  4 O 1.58-1.69
Si  0.6893  0.2280  0.7593  4 O 1.60-1.69
Si  0.6893  0.2720  0.2593  4 O 1.60-1.69
Si  0.9768  0.2376  0.5801  4 O 1.58-1.72
Si  0.9768  0.2624  0.0801  4 O 1.58-1.72
Sn  0.3263  0.0537  0.0785  6 O 2.11-2.21
Sn  0.3263  0.4463  0.5785  6 O 2.11-2.21
Sn  0.3379  0.0077  0.5942  3 O 2.21-2.26
Sn  0.3379  0.4923  0.0942  3 O 2.21-2.26
Sn  0.6621  0.5077  0.9058  3 O 2.21-2.26
Sn  0.6621  0.9923  0.4058  3 O 2.21-2.26
Sn  0.6737  0.5537  0.4215  6 O 2.11-2.21
Sn  0.6737  0.9463  0.9215  6 O 2.11-2.21
O  0.0886  0.2118  0.0195  1 Si 1.71
O  0.0886  0.2882  0.5195  1 Si 1.71
O  0.0993  0.5445  0.9479  1 Si 1.66, 1 Be 1.72
O  0.0993  0.9555  0.4479  1 Si 1.66, 1 Be 1.72
O  0.1185  0.2341  0.8676  1 Be 1.54, 1 Si 1.58
O  0.1185  0.2659  0.3676  1 Be 1.54, 1 Si 1.58
O  0.1248  0.2394  0.1882  1 Be 1.54, 1 Si 1.58
O  0.1248  0.2606  0.6882  1 Be 1.54, 1 Si 1.58
O  0.1940  0.6523  0.1479  1 Be 1.60, 1 Si 1.65
O  0.1940  0.8477  0.6479  1 Be 1.60, 1 Si 1.65
O  0.2175  0.6383  0.4672  1 Be 1.71, 1 Si 1.72
O  0.2175  0.8617  0.9672  1 Be 1.71, 1 Si 1.72
O  0.2540  0.7206  0.8210  1 Be 1.55, 1 Si 1.60
O  0.2540  0.7794  0.3210  1 Be 1.55, 1 Si 1.60
O  0.2962  0.5432  0.6905  1 Si 1.68, 1 Be 1.74
O  0.2962  0.9568  0.1905  1 Si 1.68, 1 Be 1.74
O  0.3943  0.0222  0.8775  1 Si 1.67, 1 Be 1.69
O  0.3943  0.4778  0.3775  1 Si 1.67, 1 Be 1.69
O  0.4169  0.1616  0.3541  1 Be 1.62, 1 Si 1.64
O  0.4169  0.3384  0.8541  1 Be 1.62, 1 Si 1.64
O  0.4421  0.2131  0.0166  1 Si 1.69, 1 Be 1.69
O  0.4421  0.2869  0.5166  1 Si 1.69, 1 Be 1.69
O  0.4661  0.2097  0.2059  1 Si 1.69, 1 Be 1.69
O  0.4661  0.2903  0.7059  1 Si 1.69, 1 Be 1.69
O  0.5339  0.7097  0.2941  1 Si 1.69, 1 Be 1.69
O  0.5339  0.7903  0.7941  1 Si 1.69, 1 Be 1.69
O  0.5579  0.7131  0.4834  1 Si 1.69, 1 Be 1.69
O  0.5579  0.7869  0.9834  1 Si 1.69, 1 Be 1.69
O  0.5831  0.6616  0.1459  1 Be 1.62, 1 Si 1.64
O  0.5831  0.8384  0.6459  1 Be 1.62, 1 Si 1.64
O  0.6057  0.5222  0.6225  1 Si 1.67, 1 Be 1.69
O  0.6057  0.9778  0.1225  1 Si 1.67, 1 Be 1.69
O  0.7038  0.0432  0.8095  1 Si 1.68, 1 Be 1.74
O  0.7038  0.4568  0.3095  1 Si 1.68, 1 Be 1.74
O  0.7460  0.2206  0.6790  1 Be 1.55, 1 Si 1.60
O  0.7460  0.2794  0.1790  1 Be 1.55, 1 Si 1.60
O  0.7825  0.1383  0.0328  1 Be 1.71, 1 Si 1.72
O  0.7825  0.3617  0.5328  1 Be 1.71, 1 Si 1.72
O  0.8060  0.1523  0.3521  1 Be 1.60, 1 Si 1.65
O  0.8060  0.3477  0.8521  1 Be 1.60, 1 Si 1.65
O  0.8752  0.7394  0.3118  1 Be 1.54, 1 Si 1.58
O  0.8752  0.7606  0.8118  1 Be 1.54, 1 Si 1.58
O  0.8815  0.7341  0.6324  1 Be 1.54, 1 Si 1.58
O  0.8815  0.7659  0.1324  1 Be 1.54, 1 Si 1.58
O  0.9007  0.0445  0.5521  1 Si 1.66, 1 Be 1.72
O  0.9007  0.4555  0.0521  1 Si 1.66, 1 Be 1.72
O  0.9114  0.7118  0.4805  1 Si 1.71
O  0.9114  0.7882  0.9805  1 Si 1.71

Computed properties:
DFT formation energy	-2721	meV/atom
V	951	Å³ per cell
excess energy over the best structure of this formula in the dataset	14.5	meV/atom
SG	P2_1/c, No. 14
crystal system	monoclinic